4
Lattice="-2.071 2.942 4.152 -4.724 -0.103 2.803 4.501 -2.452 -1.978" Properties=species:S:1:pos:R:3 comment="LiNiO2, optimized geometry, DFT PBE+U" spacegroup="Imm2, No. 44" formation_enthalpy_0k_kj_per_mol_atoms=-118 volume_a3_per_cell=45 final_energy_ev_per_atom=-4.641 pbc="T T T"
O -2.607 1.089 2.668
O -4.283 1.789 4.385
Ni 1.166 0.265 1.138
Li -0.632 1.016 2.977